[1]
FeHO2 (PBE+U, optimized geometry); formation enthalpy at 0 K = -1371 meV per atom
1.0
12.8488 0.0000 0.0000
0.0000 2.9757 0.0000
0.0000 0.0098 4.6938
Fe H O
4 4 8
Cartesian
8.5250 2.7015 1.4428
2.1006 0.2841 3.2509
4.2621 1.7831 1.1087
10.6865 1.2024 3.5850
4.5342 0.2684 3.5273
10.9586 2.7171 1.1664
6.5933 1.0008 0.9022
0.1689 1.9847 3.7916
3.8613 0.2713 4.2822
10.2857 2.7142 0.4115
9.0398 1.2176 2.6223
2.6154 1.7679 2.0715
5.2120 0.2951 1.8555
11.6364 2.6904 2.8382
7.5002 1.2147 0.5587
1.0758 1.7708 4.1351

***

[2]
FeHO2 (PBE+U, optimized geometry); formation enthalpy at 0 K = -1550 meV per atom
1.0
-1.9036 -2.1870 0.9662
1.0386 1.0412 4.4028
-7.5381 6.6520 0.2053
Fe H O
4 4 8
Cartesian
-3.6485 1.1822 2.7493
-7.8140 4.1115 1.1500
-4.7591 4.3188 2.8273
-0.5846 1.3999 4.4222
-2.6341 3.1011 4.2742
-6.6958 6.1353 3.0837
-5.7800 2.3924 1.3057
-1.6961 -0.6163 2.4851
-2.5733 1.6741 1.1424
-6.2158 5.1273 1.7698
-5.8321 3.8294 4.4332
-2.1848 0.3817 3.8034
-3.1032 3.1172 3.3879
-6.7429 6.5747 3.9841
-5.3114 2.3756 2.1923
-1.6485 -1.0551 1.5844

***

[3]
FeHO2 (PBE+U, optimized geometry); formation enthalpy at 0 K = -1480 meV per atom
1.0
0.6289 -1.9183 2.3238
-0.6250 -6.8736 -3.4661
6.9617 1.2663 -2.8777
Fe H O
4 4 8
Cartesian
1.3488 -3.8255 -1.4844
3.4594 -1.0568 -1.8087
5.6167 -3.7003 -2.5358
3.5063 -6.4686 -2.2111
0.8432 -3.3423 1.0905
6.1222 -4.1833 -5.1105
5.7742 -1.1189 -0.4478
1.1910 -6.4066 -3.5721
0.6172 -4.0984 0.5267
6.3480 -3.4272 -4.5466
4.8485 -1.0777 -0.1633
2.1177 -6.4478 -3.8567
4.2861 -4.9654 -3.2199
2.6799 -2.5600 -0.8000
2.2247 -5.5420 -1.0994
4.7411 -1.9838 -2.9209

***

[4]
Fe8H10O17 (PBE+U, optimized geometry); formation enthalpy at 0 K = -1419 meV per atom
1.0
-5.0938 1.4086 -3.1805
0.3141 -9.3178 -4.9451
-6.0599 -4.3326 7.7304
Fe H O
16 20 34
Cartesian
-3.7172 -11.1826 0.6402
-5.0722 -7.3107 4.6613
-2.0518 -4.1135 -1.7626
-3.0502 -9.3943 -3.0413
-1.9201 -3.4852 1.3479
-0.5021 -7.1570 -2.6215
-6.1199 -9.7018 2.2252
-5.1788 -4.2597 3.2740
-6.2288 -10.5582 -0.8618
-7.5772 -6.6253 3.0033
-4.5356 -3.3790 -3.3699
-4.8415 0.0856 -1.1689
-4.5664 -2.7131 -0.1730
-3.1232 -6.5222 -4.1302
-8.6628 -8.9307 0.7095
-7.6095 -3.5162 1.5097
-8.6457 -7.2040 -1.3512
-8.6192 -4.9562 -0.5109
-4.0282 -4.7566 1.0897
-6.6897 -4.6537 -2.9412
-2.1784 -8.0791 -0.5250
-6.0130 -7.5501 -4.1932
-7.2060 -0.4620 0.0195
-4.1889 -9.1258 -0.9266
-6.8643 -5.1716 5.1552
-6.2667 -7.8875 0.1334
-6.0864 -5.5542 0.9327
-4.4149 -5.3412 -1.6343
-8.7244 -11.3488 -0.2644
-6.1474 -9.8621 -3.1948
-9.0724 -4.6264 3.7534
-2.5622 -1.0727 -1.1803
-2.0678 -8.8308 -5.8217
-5.7261 -4.4538 7.0848
-0.5882 -9.0467 -4.6209
-5.0652 -8.0720 -2.5491
-9.0201 -8.0946 -1.2946
-10.5498 -9.3143 0.5653
-3.9151 -5.9388 3.4461
-3.9049 -3.5248 4.5630
-2.5601 -2.6498 -0.3691
-4.0250 -3.8832 1.5317
-1.8338 -8.2506 -4.0286
-2.0008 -5.8992 -2.6095
-1.6588 -5.1002 0.1417
-0.1100 -3.7413 -1.6865
-1.7624 -8.5102 -1.2866
-1.9849 -1.6012 2.2663
-5.6590 -11.2404 0.8678
-4.1439 -10.0895 -1.1211
-6.3143 -5.5329 4.4345
-6.0711 -7.8740 3.0457
-6.5445 -8.7999 0.3020
-8.0537 -10.0139 2.1956
-6.4214 -5.2408 1.7856
-6.4626 -2.8538 2.9901
-5.0304 -1.7996 -1.9358
-6.5562 -2.9845 -0.0693
-4.4479 -7.4732 -5.4282
-4.6221 -5.1937 -4.1381
-4.2016 -4.4032 -1.4745
-2.6309 -3.0139 -3.2998
-4.5844 -0.8511 0.6142
-8.2854 -10.5846 -0.6727
-6.7141 -9.4012 -2.5337
-8.8063 -4.8466 2.8428
-8.6293 -7.1286 1.4274
-2.7422 -0.1406 -1.5642
-0.2230 -0.4634 0.0788
-4.1313 -7.7788 -2.4989

***

[5]
Fe21HO32 (PBE+U, optimized geometry); formation enthalpy at 0 K = -1507 meV per atom
1.0
-6.8870 2.9253 -4.0980
-3.9575 1.3939 7.4281
3.0850 7.9492 0.2720
Fe H O
21 1 32
Cartesian
-4.3603 3.0484 -1.4987
-2.9456 2.3089 4.0673
0.4552 5.4744 0.6116
-5.0626 10.0153 4.1922
0.2634 7.7898 2.5228
-3.1522 4.6105 5.9935
-5.6380 3.3581 4.9041
-7.0588 4.1008 -0.6860
-7.5805 8.7468 3.0888
-0.4669 8.1715 -0.3504
-5.8023 10.4019 1.2819
-5.3033 5.7349 -2.4699
-5.7851 6.8128 5.3687
-2.4053 9.9588 1.9345
-7.1909 7.5477 -0.1627
-1.9311 3.0533 0.8965
-2.4300 7.7621 4.7191
-7.3387 5.2891 2.5679
-3.8720 8.5160 -0.9546
-0.0145 0.0229 0.0067
-3.8258 6.0489 1.7760
-5.3489 8.4572 2.4831
-6.7648 10.6959 3.1404
-6.0770 3.7649 -2.5318
1.2401 7.4513 0.6748
-3.9275 2.6412 5.9257
-3.4334 9.4173 5.2478
-4.9007 10.1843 -0.5253
-8.4281 6.9009 3.0590
-2.7271 2.1605 -0.7047
-8.1736 4.3534 1.0123
-4.6206 7.6607 -2.5980
-1.9929 8.9845 -1.4465
-0.5149 8.2119 4.3686
-0.0333 3.5176 0.4758
-7.4017 3.9499 4.0496
-1.9357 1.7468 2.4089
-2.3707 6.4846 6.2543
-6.3927 5.9486 -0.8421
-4.8629 5.1489 5.1772
-1.1850 8.5723 1.4401
-6.4746 8.5109 1.4245
-0.9382 6.2503 -0.5684
-4.7032 2.7458 3.2573
-2.0855 4.0646 4.4045
-3.6517 4.8833 -1.7575
-4.3132 9.5998 2.3717
-0.1692 5.8483 2.4573
-5.8397 8.1790 3.9228
-5.5004 3.1625 0.1210
-2.8584 4.5194 1.3269
-3.1344 6.9567 3.2880
-5.6399 5.6944 2.1900
-3.8704 7.3414 0.3920

***

[6]
FeHO2 (PBE+U, optimized geometry); formation enthalpy at 0 K = -1375 meV per atom
1.0
-2.2631 3.2052 4.5595
8.5582 -3.4005 6.5730
5.5013 10.0834 -4.3762
Fe H O
16 16 32
Cartesian
1.1571 2.8016 6.3260
4.8384 5.9303 -1.7165
8.6627 5.3627 6.7527
4.7320 1.4098 7.1962
8.3353 9.5571 4.8567
9.0495 0.3758 4.3395
1.7338 5.8192 3.1184
5.7685 9.4794 2.2436
2.3113 1.2509 4.0904
3.7897 7.5276 0.7622
9.8546 3.7592 4.4165
6.2954 -0.3339 5.2799
9.2986 8.0691 2.6007
8.1706 1.8425 6.7525
2.9466 4.2614 0.8064
6.9237 7.9787 -0.2500
2.6116 4.7573 -1.7784
6.9653 5.2453 -0.0145
9.0222 6.3929 4.5659
6.8100 0.7629 8.7899
9.7239 4.6197 2.1520
7.0082 0.9809 2.8003
8.0271 10.6934 2.2837
2.4678 3.6346 3.3717
6.0846 6.7534 2.0153
5.5437 10.2078 -0.0948
9.2104 8.8594 0.1506
1.6329 6.6973 0.3414
6.2865 2.4571 5.1552
2.4142 1.7272 1.4856
4.7969 1.0251 3.7614
4.8025 8.5753 -1.7608
3.6496 2.5515 0.4483
2.3218 3.9061 -1.3191
6.9130 5.9897 -0.6413
5.5388 11.4354 2.5944
9.2766 7.9354 4.4957
7.5713 9.3461 3.0104
6.7129 1.5322 8.1950
7.6303 3.7725 7.1238
9.6098 3.6600 2.4550
11.5909 2.7816 3.9688
4.8467 3.3841 7.9060
3.8917 1.1371 8.9538
1.3867 2.8107 4.4372
2.8616 1.4698 6.1914
3.9169 9.3865 1.3516
2.9172 7.2282 2.5189
3.0068 4.2919 2.8431
1.2291 5.2419 1.1890
5.8622 7.5433 1.4886
6.4331 9.9442 0.2298
9.9256 6.3247 2.0426
8.6548 8.2015 0.6307
8.0341 -0.0198 6.0039
8.7069 2.2802 4.8766
8.8322 5.4074 4.8116
10.4482 4.1395 6.4189
5.7238 1.7026 5.4252
5.0317 -0.4771 6.7133
2.0440 1.0242 2.1002
4.0687 0.3882 3.5829
4.9774 7.9226 -1.0559
4.1004 5.6801 0.1575

***

[7]
FeHO2 (PBE+U, optimized geometry); formation enthalpy at 0 K = -1402 meV per atom
1.0
9.7408 0.0000 0.0000
0.0000 3.0552 0.0000
0.0000 0.1012 4.9619
Fe H O
4 4 8
Cartesian
6.0379 0.0652 1.4723
1.1675 3.0913 3.4896
3.0655 1.5288 0.9465
7.9359 1.6277 4.0154
3.6421 3.0914 3.5471
8.5125 0.0651 1.4148
5.3408 1.7201 4.2188
0.4704 1.4364 0.7431
3.1047 3.1047 4.3903
7.9751 0.0517 0.5716
6.5365 1.5913 2.6233
1.6661 1.5652 2.3386
4.0429 3.0786 1.8252
8.9133 0.0779 3.1367
5.8392 1.5995 0.0994
0.9688 1.5569 4.8625

***

[8]
Fe8H10O17 (PBE+U, optimized geometry); formation enthalpy at 0 K = -1419 meV per atom
1.0
-5.3247 -0.1938 -3.0459
-0.4562 -10.3241 2.1149
-5.0360 2.7334 9.0617
Fe H O
16 20 34
Cartesian
-4.8383 -0.8569 8.8498
-7.3008 -0.7950 0.7921
-3.8780 -7.5154 4.9520
-6.1026 -4.9137 9.0948
-6.6578 -6.4985 0.2275
-9.3453 -7.1626 5.3669
-4.8141 0.0372 5.7921
-2.5092 -3.1909 1.7872
-7.3573 -0.9826 7.3270
-4.5994 -0.5600 2.2790
-6.3842 -7.5651 3.3778
-4.7846 -8.9398 -0.2476
-3.8326 -6.6185 1.5836
-6.7863 -7.0968 6.9457
-7.5108 -0.1258 4.1264
-5.1107 -3.0489 0.1868
-8.7585 -2.3740 3.6315
-7.4885 -3.4568 1.4535
-2.3671 -8.5572 2.8796
-7.9999 -5.6247 2.8233
-8.3625 -9.0233 3.8368
-9.1014 -5.0109 6.3836
-6.8295 -2.5202 9.1400
-1.9088 -0.4388 1.2882
-5.9634 -2.1943 5.1505
-5.5318 1.2997 3.7125
-4.9938 -3.1706 2.9356
-4.6400 -5.3426 -0.4972
-4.3258 -5.4450 3.4920
-8.6380 1.1619 6.1194
-8.8912 -3.1110 6.2572
-4.5349 -0.4974 -0.3117
-2.7109 -0.1600 -1.1825
-1.2397 -10.0011 1.6918
-7.1643 -4.1804 6.6425
-5.8755 -4.9519 6.0359
-3.7195 -1.3225 7.0229
-8.7022 1.1015 3.1679
-7.1500 -2.9406 0.7093
-0.5921 -3.0493 1.4597
-2.8547 -7.6931 3.1253
-2.6839 -5.1352 2.2957
-6.0610 -6.8262 8.8171
-4.7655 -6.9393 6.5496
-7.6281 -6.2809 2.2102
-7.8784 -8.9936 2.9362
-9.4649 -4.9745 5.4721
-5.7444 -7.4208 -1.2338
-5.8169 0.2104 7.5141
-6.2139 -2.3528 8.3950
-2.5574 -0.9231 1.9037
-3.9282 -0.6837 4.1559
-6.3974 -1.3866 5.4684
-6.0340 1.1979 4.6022
-4.5063 -2.7847 2.1947
-3.1945 -3.1810 -0.0692
-5.5091 -7.6578 1.4815
-5.0705 -5.1866 0.3906
-8.7416 -6.9784 7.3222
-7.3603 -7.0409 5.0041
-4.9670 -6.0790 3.8839
-5.2112 -8.8755 4.3763
-2.9900 -7.3576 0.0909
-8.4644 0.2075 5.9774
-8.8719 -2.2991 6.8061
-5.2423 -0.9982 0.3557
-6.5600 -0.8313 2.6154
-4.0531 -10.1257 1.0974
-1.2130 -9.7706 2.6510
-6.4677 -4.8427 6.8105

***

[9]
FeHO2 (PBE+U, optimized geometry); formation enthalpy at 0 K = -1367 meV per atom
1.0
5.9973 0.0000 0.0000
0.0412 11.0839 0.0000
0.0359 0.9460 11.9464
Fe H O
16 16 32
Cartesian
0.1769 7.4553 1.0702
6.0358 10.1419 7.7196
1.3044 2.2777 6.7403
1.5411 3.7868 1.5568
0.2355 4.4984 10.3786
5.8618 1.8623 3.7675
1.2973 9.5182 4.5212
1.4914 7.8495 9.6554
3.1243 7.3726 1.0383
2.9067 9.8563 7.6678
4.2976 2.2933 6.8987
4.4857 3.3291 1.5682
3.1713 4.5740 10.3004
2.9537 1.5369 3.7104
4.3327 9.4794 4.6581
4.6260 8.0471 9.8327
5.8785 11.4092 5.5648
5.9329 7.3692 7.4838
1.9649 2.9637 9.1015
1.4052 1.1527 1.4813
5.6546 4.0486 7.7876
0.0343 4.4179 3.7941
1.5694 6.5304 11.9022
2.5950 8.0181 3.3610
3.2958 7.1886 7.6696
2.7332 9.5149 10.8054
4.6386 6.2498 11.5465
2.9158 11.4566 5.9494
3.0532 4.0499 3.8289
4.7512 9.1524 1.9955
4.5453 5.7826 2.4593
4.6243 10.6985 9.9083
5.7608 8.6436 3.7552
5.8694 11.0784 4.6147
5.9615 7.7066 8.3931
0.1147 8.2938 11.0548
1.7210 3.2294 10.0393
1.6202 5.9127 10.1068
1.4590 1.7528 2.2477
1.4618 2.2911 4.8118
5.8029 3.6368 6.9051
5.8573 0.9711 7.2402
5.9954 3.9040 2.9677
0.0187 3.4737 0.3656
1.7249 8.3317 1.7474
1.6037 5.8377 0.9218
1.5290 9.8480 9.0587
1.3983 9.4656 6.4569
2.8091 8.1731 4.3141
2.8728 10.7814 4.2229
3.1435 7.7926 8.4156
2.9910 8.5832 10.9993
4.7366 3.8201 9.5065
4.4855 6.1932 10.5801
4.4641 1.6066 2.3847
4.3180 2.3055 4.9325
2.7375 3.1895 7.5475
2.8554 0.6969 6.8944
3.0518 4.1157 2.8541
3.0351 3.4384 0.3187
4.6196 8.7310 1.1143
4.6254 6.1483 1.5562
4.5340 10.0423 9.1926
4.5014 9.4643 6.5827